First-principles (PBE) data for NaB5H4O10 after structural relaxation, as listed in the Materials Project database.

a = 8.1879 Å, b = 8.7751 Å, c = 13.0977 Å
α = 73.47°, β = 90.00°, γ = 90.00°
Last column: nearest neighbours and their distance in Å.
Sites, in units of the cell vectors:
Na  0.2608  0.9214  0.7360  4 O 2.36-2.42
Na  0.7608  0.0786  0.7640  4 O 2.36-2.42
Na  0.7392  0.0786  0.2640  4 O 2.36-2.42
Na  0.2392  0.9214  0.2360  4 O 2.36-2.42
B  0.9066  0.7212  0.8107  3 O 1.37-1.41
B  0.4066  0.2788  0.6893  3 O 1.37-1.41
B  0.0934  0.2788  0.1893  3 O 1.37-1.41
B  0.5934  0.7212  0.3107  3 O 1.37-1.41
B  0.6859  0.5487  0.8949  3 O 1.37-1.40
B  0.1859  0.4513  0.6051  3 O 1.37-1.40
B  0.3141  0.4513  0.1051  3 O 1.37-1.40
B  0.8141  0.5487  0.3949  3 O 1.37-1.40
B  0.7797  0.7648  0.9702  4 O 1.46-1.49
B  0.2797  0.2352  0.5298  4 O 1.46-1.49
B  0.2203  0.2352  0.0298  4 O 1.46-1.49
B  0.7203  0.7648  0.4702  4 O 1.46-1.49
B  0.9382  0.7706  0.1306  3 O 1.35-1.40
B  0.4382  0.2294  0.3694  3 O 1.35-1.40
B  0.0618  0.2294  0.8694  3 O 1.35-1.40
B  0.5618  0.7706  0.6306  3 O 1.35-1.40
B  0.7230  0.9616  0.0708  3 O 1.37-1.39
B  0.2230  0.0384  0.4292  3 O 1.37-1.39
B  0.2770  0.0384  0.9292  3 O 1.37-1.39
B  0.7770  0.9616  0.5708  3 O 1.37-1.39
H  0.1063  0.6156  0.2033  1 O 0.98
H  0.6063  0.3844  0.2967  1 O 0.98
H  0.8937  0.3844  0.7967  1 O 0.98
H  0.3937  0.6156  0.7033  1 O 0.98
H  0.5296  0.1041  0.0573  1 O 0.99
H  0.0296  0.8959  0.4427  1 O 0.99
H  0.4704  0.8959  0.9427  1 O 0.99
H  0.9704  0.1041  0.5573  1 O 0.99
H  0.0471  0.6832  0.6944  1 O 1.00
H  0.5471  0.3168  0.8056  1 O 1.00
H  0.9529  0.3168  0.3056  1 O 1.00
H  0.4529  0.6832  0.1944  1 O 1.00
H  0.4952  0.4032  0.9476  1 O 1.00
H  0.9952  0.5968  0.5524  1 O 1.00
H  0.5048  0.5968  0.0524  1 O 1.00
H  0.0048  0.4032  0.4476  1 O 1.00
O  0.8169  0.5804  0.8232  2 B 1.40-1.41
O  0.3169  0.4196  0.6768  2 B 1.40-1.41
O  0.1831  0.4196  0.1768  2 B 1.40-1.41
O  0.6831  0.5804  0.3232  2 B 1.40-1.41
O  0.6607  0.6391  0.9633  2 B 1.37-1.49
O  0.1607  0.3609  0.5367  2 B 1.37-1.49
O  0.3393  0.3609  0.0367  2 B 1.37-1.49
O  0.8393  0.6391  0.4633  2 B 1.37-1.49
O  0.8672  0.8244  0.8678  2 B 1.37-1.48
O  0.3672  0.1756  0.6322  2 B 1.37-1.48
O  0.1328  0.1756  0.1322  2 B 1.37-1.48
O  0.6328  0.8244  0.3678  2 B 1.37-1.48
O  0.6857  0.9004  0.9880  2 B 1.37-1.49
O  0.1857  0.0996  0.5120  2 B 1.37-1.49
O  0.3143  0.0996  0.0120  2 B 1.37-1.49
O  0.8143  0.9004  0.4880  2 B 1.37-1.49
O  0.8977  0.6987  0.0554  2 B 1.35-1.46
O  0.3977  0.3013  0.4446  2 B 1.35-1.46
O  0.1023  0.3013  0.9446  2 B 1.35-1.46
O  0.6023  0.6987  0.5554  2 B 1.35-1.46
O  0.8523  0.9037  0.1403  2 B 1.39-1.40
O  0.3523  0.0963  0.3597  2 B 1.39-1.40
O  0.1477  0.0963  0.8597  2 B 1.39-1.40
O  0.6477  0.9037  0.6403  2 B 1.39-1.40
O  0.0641  0.7207  0.2027  1 H 0.98
O  0.5641  0.2793  0.2973  1 H 0.98
O  0.9359  0.2793  0.7973  1 H 0.98
O  0.4359  0.7207  0.7027  1 H 0.98
O  0.6363  0.0815  0.0935  1 H 0.99
O  0.1363  0.9185  0.4065  1 H 0.99
O  0.3637  0.9185  0.9065  1 H 0.99
O  0.8637  0.0815  0.5935  1 H 0.99
O  0.0312  0.7585  0.7380  1 H 1.00
O  0.5312  0.2415  0.7620  1 H 1.00
O  0.9688  0.2415  0.2620  1 H 1.00
O  0.4688  0.7585  0.2380  1 H 1.00
O  0.5855  0.4238  0.8937  1 H 1.00
O  0.0855  0.5762  0.6063  1 H 1.00
O  0.4145  0.5762  0.1063  1 H 1.00
O  0.9145  0.4238  0.3937  1 H 1.00


First-principles (PBE) data for NaBH4O4 after structural relaxation, as listed in the Materials Project database.

a = 10.7440 Å, b = 5.9662 Å, c = 6.2449 Å
α = 67.94°, β = 90.00°, γ = 90.00°
Last column: nearest neighbours and their distance in Å.
Sites, in units of the cell vectors:
Na  0.0169  0.7500  0.2389  5 O 2.32-2.46
Na  0.5169  0.7500  0.7611  5 O 2.32-2.46
Na  0.9831  0.2500  0.7611  5 O 2.32-2.46
Na  0.4831  0.2500  0.2389  5 O 2.32-2.46
B  0.0906  0.7243  0.7221  4 O 1.48-1.50
B  0.5906  0.7757  0.2779  4 O 1.48-1.50
B  0.9094  0.2757  0.2779  4 O 1.48-1.50
B  0.4094  0.2243  0.7221  4 O 1.48-1.50
H  0.9104  0.8385  0.6252  1 O 0.99
H  0.4104  0.6615  0.3748  1 O 0.99
H  0.0896  0.1615  0.3748  1 O 0.99
H  0.5896  0.3385  0.6252  1 O 0.99
H  0.1864  0.9310  0.8592  1 O 0.99
H  0.6864  0.5690  0.1408  1 O 0.99
H  0.8136  0.0690  0.1408  1 O 0.99
H  0.3136  0.4310  0.8592  1 O 0.99
H  0.1264  0.4293  0.0096  1 O 0.98
H  0.6264  0.0707  0.9904  1 O 0.98
H  0.8736  0.5707  0.9904  1 O 0.98
H  0.3736  0.9293  0.0096  1 O 0.98
H  0.2410  0.8413  0.5024  1 O 0.98
H  0.7410  0.6587  0.4976  1 O 0.98
H  0.7590  0.1587  0.4976  1 O 0.98
H  0.2590  0.3413  0.5024  1 O 0.98
O  0.9567  0.6840  0.6822  1 H 0.99
O  0.4567  0.8160  0.3178  1 H 0.99
O  0.0433  0.3160  0.3178  1 H 0.99
O  0.5433  0.1840  0.6822  1 H 0.99
O  0.0982  0.8812  0.8572  1 H 0.99
O  0.5982  0.6188  0.1428  1 H 0.99
O  0.9018  0.1188  0.1428  1 H 0.99
O  0.4018  0.3812  0.8572  1 H 0.99
O  0.1490  0.4834  0.8450  1 H 0.98
O  0.6490  0.0166  0.1550  1 H 0.98
O  0.8510  0.5166  0.1550  1 H 0.98
O  0.3510  0.9834  0.8450  1 H 0.98
O  0.1505  0.8377  0.4893  1 H 0.98
O  0.6505  0.6623  0.5107  1 H 0.98
O  0.8495  0.1623  0.5107  1 H 0.98
O  0.3495  0.3377  0.4893  1 H 0.98


First-principles (PBE) data for NaBH8O7 after structural relaxation, as listed in the Materials Project database.

a = 6.8792 Å, b = 7.0642 Å, c = 7.4173 Å
α = 69.13°, β = 77.86°, γ = 64.02°
Last column: nearest neighbours and their distance in Å.
Sites, in units of the cell vectors:
Na  0.0000  0.0000  0.0000  6 O 2.35-2.54
Na  0.5000  0.0000  0.0000  6 O 2.36-2.44
B  0.8142  0.5103  0.6327  4 O 1.44-1.52
B  0.1858  0.4897  0.3673  4 O 1.44-1.52
H  0.8266  0.8979  0.6844  1 O 0.99
H  0.1734  0.1021  0.3156  1 O 0.99
H  0.8294  0.1306  0.6525  1 O 0.99
H  0.1706  0.8694  0.3475  1 O 0.99
H  0.4092  0.8266  0.7479  1 O 0.99
H  0.5908  0.1734  0.2521  1 O 0.99
H  0.2526  0.0787  0.6762  1 O 0.99
H  0.7474  0.9213  0.3238  1 O 0.99
H  0.1873  0.4260  0.8261  1 O 0.98
H  0.8127  0.5740  0.1739  1 O 0.98
H  0.4015  0.4623  0.8104  1 O 0.99
H  0.5985  0.5377  0.1896  1 O 0.99
H  0.8232  0.4642  0.9190  1 O 1.00
H  0.1768  0.5358  0.0810  1 O 1.00
H  0.5201  0.6736  0.5097  1 O 0.97
H  0.4799  0.3264  0.4903  1 O 0.97
O  0.7914  0.0100  0.7493  2 H 0.99
O  0.2086  0.9900  0.2507  2 H 0.99
O  0.3155  0.9557  0.7933  2 H 0.99
O  0.6845  0.0443  0.2067  2 H 0.99
O  0.3033  0.3978  0.9024  2 H 0.98-0.99
O  0.6967  0.6022  0.0976  2 H 0.98-0.99
O  0.8977  0.3851  0.8206  1 H 1.00
O  0.1023  0.6149  0.1794  1 H 1.00
O  0.5750  0.5999  0.6384  1 H 0.97
O  0.4250  0.4001  0.3616  1 H 0.97
O  0.8706  0.7106  0.5370  1 O 1.49, 1 B 1.52
O  0.1294  0.2894  0.4630  1 O 1.49, 1 B 1.52
O  0.8893  0.3692  0.5009  1 O 1.49, 1 B 1.50
O  0.1107  0.6308  0.4991  1 O 1.49, 1 B 1.50


Raw total energy values (in hartree per atom) by entry order: -0.2540, -0.2086, -0.1961.